# 1
# ErP3O9

A relaxed ErP3O9 crystal (PBE, the Materials Project database).

Geometry as extended XYZ:
```
52
Lattice="-7.113 -3.090 -5.949 4.684 -3.915 -3.567 -1.698 -8.760 6.580" Properties=species:S:1:pos:R:3 pbc="T T T"
O -5.190 -12.058 0.424
O -0.262 -4.653 1.224
O -6.879 -10.374 -0.448
O -5.452 -6.902 -1.941
O 1.170 -9.471 1.475
O -2.484 -5.618 -0.635
O 1.325 -8.864 -0.996
O 2.752 -5.392 -2.488
O -3.075 -8.946 -6.351
O -1.877 -3.792 -2.359
O -5.297 -6.295 -4.411
O 0.965 -6.168 -3.982
O -0.574 -10.229 0.016
O -0.439 -7.728 0.523
O -4.516 -12.958 -2.473
O -0.574 -9.257 4.096
O -1.643 -10.148 -2.301
O -5.092 -9.597 1.046
O -3.865 -11.113 -4.160
O -5.823 -10.789 -2.668
O 1.063 -3.708 -3.360
O -2.892 -10.264 2.157
O 0.389 -2.808 -0.464
O 1.696 -4.977 -0.268
O -3.688 -8.038 -3.460
O -1.235 -5.502 -5.093
O -1.051 -6.819 3.414
O -2.250 -11.974 -0.577
O -2.997 -9.561 -0.305
O 2.836 -4.816 -4.904
O -3.553 -5.537 -2.952
O -3.381 -7.832 1.466
O -6.963 -10.950 1.968
O -0.746 -7.934 -4.402
O -1.130 -6.204 -2.631
O -3.553 -6.509 -7.032
P -0.129 -7.822 4.040
P -0.598 -6.467 -4.133
P -6.021 -10.901 0.817
P 0.380 -8.937 0.172
P 0.798 -3.878 0.499
P -4.925 -11.888 -3.435
P -1.866 -10.559 -0.876
P -4.507 -6.829 -3.108
P -3.529 -9.299 1.196
P -2.261 -5.207 -2.060
P 1.894 -4.865 -3.753
P -3.998 -7.944 -6.977
Er -3.776 -13.599 -0.467
Er -0.351 -2.167 -2.470
Er -2.262 -9.588 -4.360
Er -1.865 -6.178 1.424
```

# 2
# PmS3

A relaxed PmS3 crystal (PBE, the Materials Project database).

Geometry as extended XYZ:
```
8
Lattice="2.859 -4.951 0.000 2.859 4.951 0.000 0.000 0.000 5.675" Properties=species:S:1:pos:R:3 pbc="T T T"
S 4.209 0.871 1.419
S 2.859 -3.210 4.256
S 1.508 -0.871 4.256
S 2.859 3.210 1.419
S 1.508 0.871 1.419
S 4.209 -0.871 4.256
Pm 2.859 -1.650 1.419
Pm 2.859 1.650 4.256
```

# 3
# GdGe2

A relaxed GdGe2 crystal (PBE, the Materials Project database).

Geometry as extended XYZ:
```
6
Lattice="2.623 -3.836 7.326 -2.326 -1.209 8.270 -1.543 0.161 -8.536" Properties=species:S:1:pos:R:3 pbc="T T T"
Gd 0.614 -3.099 3.294
Gd 0.000 0.000 0.000
Ge -1.837 -2.182 4.989
Ge 0.172 -2.919 9.021
Ge 0.125 -2.127 6.575
Ge -1.884 -1.390 2.543
```

# 4
# LiBiF5

A relaxed LiBiF5 crystal (PBE, the Materials Project database).

Geometry as extended XYZ:
```
7
Lattice="-3.510 3.510 2.219 3.510 -3.510 2.219 3.510 3.510 -2.219" Properties=species:S:1:pos:R:3 pbc="T T T"
F 4.171 2.037 1.192
F 2.037 2.849 -1.192
F -0.661 1.473 3.412
F 0.000 3.510 1.110
F 1.473 0.661 1.027
Bi 3.510 0.000 1.110
Li 0.000 0.000 0.000
```

# 5
# Na10La8Si5S7O48

A relaxed Na10La8Si5S7O48 crystal (PBE, the Materials Project database).

Geometry as extended XYZ:
```
234
Lattice="-10.276 12.721 10.287 0.703 -9.161 2.976 20.294 5.883 13.278" Properties=species:S:1:pos:R:3 pbc="T T T"
O -3.760 1.739 8.746
O 5.804 10.825 13.899
O 2.485 -0.203 10.503
O 11.614 -4.549 11.640
O 18.262 -2.486 16.062
O -5.667 10.296 10.597
O 9.286 -2.638 9.010
O 9.580 3.346 16.905
O 12.976 4.447 13.177
O 11.318 5.508 21.154
O 5.473 4.168 17.177
O 14.531 7.689 17.636
O -0.606 9.583 16.642
O 11.132 4.947 15.892
O 9.904 5.523 17.876
O 13.438 6.048 22.203
O 14.490 -3.113 11.753
O 6.322 2.403 9.044
O 13.124 3.864 21.169
O 17.183 1.576 13.450
O -4.467 6.929 10.343
O 0.231 11.729 14.350
O 6.578 13.665 19.092
O 4.161 -4.300 7.599
O 3.994 3.735 14.144
O 4.368 7.145 17.460
O -4.237 10.214 13.615
O 4.779 9.277 18.536
O 11.985 9.598 14.887
O -2.428 5.471 5.422
O 1.379 -4.620 3.608
O -2.155 4.874 13.246
O -2.659 3.319 4.440
O 5.385 5.369 9.223
O 15.326 2.579 16.205
O 9.420 14.075 22.795
O 2.695 3.062 6.055
O 0.269 -1.891 4.255
O 0.529 -1.289 9.083
O 0.903 3.851 8.471
O 11.438 -0.236 9.778
O 6.296 6.290 14.882
O 1.837 14.321 18.598
O 12.081 9.268 22.773
O 1.891 0.988 8.261
O 18.513 -0.285 17.061
O 14.039 2.238 13.005
O 10.509 -2.126 12.070
O 16.314 7.195 15.077
O 8.825 -5.071 8.224
O 2.983 -1.486 8.105
O 10.654 11.128 22.127
O 8.320 1.246 14.336
O 7.188 -3.129 7.356
O -0.482 -4.213 6.342
O -1.547 0.114 3.684
O 8.425 4.779 9.788
O 4.668 -1.913 5.601
O 16.406 -0.883 15.994
O 15.223 4.297 12.392
O -5.620 2.148 11.483
O 13.215 -0.108 15.186
O 8.073 6.593 20.332
O -2.757 -0.489 8.587
O 15.779 4.780 17.010
O -3.943 12.644 14.683
O 11.689 7.184 13.952
O 10.657 0.014 16.168
O 14.994 3.080 18.582
O 14.949 -0.755 12.823
O 3.942 -0.725 3.372
O -1.192 5.631 8.510
O -7.890 5.875 13.736
O 8.298 9.740 16.177
O 2.005 3.176 12.406
O 5.945 0.256 8.033
O 5.349 -2.558 10.288
O -8.475 7.074 11.731
O -6.663 7.908 13.123
O 18.513 3.861 12.923
O 3.118 7.761 19.487
O -7.562 11.830 10.564
O 7.557 1.824 7.059
O -0.983 2.062 12.740
O -3.253 7.348 13.403
O 7.244 -1.735 11.593
O -0.533 3.936 5.458
O 2.634 8.871 17.448
O -4.237 6.362 7.655
O 12.017 7.903 18.591
O 11.215 13.546 20.212
O -2.448 9.423 11.196
O 3.802 -6.468 6.641
O 7.743 2.384 12.290
O 8.963 8.526 18.131
O 9.859 2.890 13.362
O -2.660 6.167 15.643
O 5.651 6.576 21.325
O 0.676 0.570 5.206
O 6.696 5.785 12.516
O -0.100 4.758 17.667
O 6.059 11.284 20.866
O 2.429 8.183 12.208
O -1.341 -0.107 11.783
O -0.195 9.356 10.368
O 2.068 4.629 16.670
O 8.067 0.684 9.137
O 6.999 16.007 20.040
O 5.049 -1.595 12.529
O -7.793 9.678 9.581
O 1.502 12.115 17.688
O 2.937 7.023 14.289
O 13.333 10.178 18.035
O 10.145 8.938 21.340
O -3.341 0.714 6.583
O 3.685 1.284 13.350
O 1.186 8.751 14.189
O 7.094 7.994 13.314
O -6.691 6.469 8.815
O 5.377 11.920 16.335
O -4.869 4.470 9.389
O 0.146 3.781 15.426
O 0.903 0.004 2.521
O 6.618 10.012 23.141
O 4.948 2.997 5.227
O 19.261 2.441 14.977
O -0.472 4.452 10.747
O 10.115 10.609 17.537
O 9.538 0.721 12.328
O 11.698 3.846 17.990
O 4.507 3.219 11.499
O 7.867 10.660 18.420
O 0.812 6.616 13.166
O 17.210 2.933 17.704
O 3.285 11.100 14.801
O -4.611 5.072 14.228
O 1.200 6.277 9.529
O 10.538 5.675 11.207
O 9.906 9.437 23.735
O 3.373 12.499 19.205
O 13.408 3.400 11.019
O 14.096 8.802 20.110
O -1.527 1.544 7.977
O 8.543 6.175 14.048
Si 1.966 -0.510 8.980
Si 18.685 2.283 13.418
Si 5.417 10.720 22.282
Si 9.921 5.457 9.670
Si 0.047 -0.262 3.919
Si -5.098 6.101 9.055
Si 4.794 11.783 14.809
Si -3.174 5.849 14.118
Si -5.008 11.419 14.456
Si 0.130 5.055 9.316
Si 13.522 8.597 18.565
Si 7.188 6.099 21.650
Si 3.579 2.851 12.812
Si 11.527 8.803 13.508
Si 8.772 -3.504 7.678
Na 3.315 0.260 6.221
Na 7.003 4.352 7.314
Na 0.613 2.105 10.343
Na 2.040 -2.756 5.934
Na -5.143 6.345 5.273
Na 20.237 5.823 13.383
Na 3.388 3.081 9.159
Na -3.442 4.148 7.497
Na 5.444 13.725 21.334
Na 12.353 -0.135 12.732
Na 9.312 -1.233 14.101
Na 13.663 6.299 15.657
Na 12.169 -2.841 10.124
Na 8.366 12.675 20.763
Na -2.754 2.857 14.821
Na 13.964 -2.314 14.656
Na 7.105 8.949 20.434
Na 1.658 5.657 6.707
Na 1.677 -2.219 2.344
Na 12.200 11.077 19.963
Na 5.573 0.388 14.841
Na 6.964 6.005 17.906
Na -1.807 6.619 11.379
Na 1.884 10.735 12.476
Na 10.543 7.528 16.169
Na 17.348 4.698 14.775
Na -4.529 8.450 15.459
Na -1.706 9.451 14.303
Na -3.075 3.612 11.093
Na 10.827 -6.133 9.638
La -0.923 -3.796 3.868
La 0.496 2.111 6.815
La 6.573 3.972 10.933
La 15.383 0.760 14.523
La 7.743 8.502 24.425
La 8.682 1.126 16.804
La 9.247 -1.018 10.467
La 16.759 7.004 17.499
La -6.048 2.565 9.020
La 0.181 4.324 12.976
La 4.201 5.249 15.708
La 11.598 13.367 22.649
La 5.298 -2.048 7.817
La 1.488 10.374 16.014
La 10.653 5.217 13.361
La -4.642 8.472 11.953
La 12.218 11.200 16.338
La -2.392 5.605 17.750
La 3.662 7.428 21.896
La 2.737 -0.757 12.623
La 3.068 0.864 2.034
La -2.065 7.228 7.185
La 5.588 11.709 18.483
La 10.259 7.070 19.755
S -0.880 0.598 13.004
S 12.465 4.971 21.923
S 5.920 -2.411 11.654
S -7.983 7.211 13.120
S -6.820 10.783 9.797
S 7.145 6.557 13.703
S 8.872 1.827 13.073
S 17.564 -1.382 16.780
S 1.867 7.623 13.475
S 0.761 3.947 16.774
S -1.684 4.425 4.655
S 10.595 4.391 17.172
S 15.821 3.332 17.380
S 13.918 3.591 12.399
S 4.264 -5.766 7.863
S 8.812 9.902 17.561
S -2.847 0.849 7.972
S 1.977 12.876 18.868
S 6.987 1.275 8.321
S 10.686 9.688 22.505
S 3.752 8.254 18.217
```

# 6
# NdGe2Ir

A relaxed NdGe2Ir crystal (PBE, the Materials Project database).

Geometry as extended XYZ:
```
16
Lattice="7.569 3.104 4.980 -0.851 8.512 4.306 -2.167 -9.252 -1.198" Properties=species:S:1:pos:R:3 pbc="T T T"
Ir 3.736 2.558 4.236
Ir 0.815 -0.194 3.852
Ir -1.153 -3.596 1.132
Ir 5.704 5.960 6.956
Ge 2.838 4.907 3.923
Ge 2.168 1.361 2.429
Ge -1.664 -5.996 0.065
Ge 3.880 6.708 5.363
Ge 2.383 1.003 5.660
Ge 6.215 8.360 8.024
Ge 5.530 1.817 5.802
Ge -0.979 0.547 2.287
Nd 3.997 -4.549 2.798
Nd 4.087 -0.677 3.808
Nd 1.405 -1.599 0.984
Nd 0.463 3.041 4.281
```

How do the records compare in total DFT energy (no corrections)? In the order shown, they have -393.97; -40.77; -50.00; -31.34; -1591.47; -104.21 eV per cell.
How do the records compare in energy of formation from the pure elements? In the order shown, they have -3.0259; -1.1836; -0.5590; -2.6115; -2.7842; -0.7999 eV/atom.